Entry 1:
# NpTl2F6 (r2SCAN, relaxed)
data_NpTl2F6
_chemical_formula_sum 'Np2 Tl4 F12'
_cell_length_a 6.9158
_cell_length_b 6.9158
_cell_length_c 7.4485
_cell_angle_alpha 90.00
_cell_angle_beta 90.00
_cell_angle_gamma 119.37
_space_group_name_H-M_alt 'P 1'
_space_group_IT_number 1
_space_group_name_Hall 'P 1'
loop_
_atom_site_label
_atom_site_type_symbol
_atom_site_fract_x
_atom_site_fract_y
_atom_site_fract_z
Np1 Np 0.0541 0.9459 0.7500
Np2 Np 0.9459 0.0541 0.2500
Tl1 Tl 0.3471 0.6529 0.5022
Tl2 Tl 0.3471 0.6529 0.9978
Tl3 Tl 0.6529 0.3471 0.0022
Tl4 Tl 0.6529 0.3471 0.4978
F1 F 0.0091 0.6044 0.7500
F2 F 0.1028 0.8972 0.0424
F3 F 0.1028 0.8972 0.4576
F4 F 0.2731 0.3106 0.7500
F5 F 0.3106 0.2731 0.2500
F6 F 0.3956 0.9909 0.7500
F7 F 0.6044 0.0091 0.2500
F8 F 0.6894 0.7269 0.7500
F9 F 0.7269 0.6894 0.2500
F10 F 0.8972 0.1028 0.5424
F11 F 0.8972 0.1028 0.9576
F12 F 0.9909 0.3956 0.2500
# Crystal system = orthorhombic
# E_tot = -26.24 eV per atom
# ρ = 8.13 g cm⁻³
# Energy of formation = -3.111 eV/atom



Entry 2:
# LiThAu2 (r2SCAN, relaxed)
data_LiThAu2
_chemical_formula_sum 'Li4 Th4 Au8'
_cell_length_a 7.0364
_cell_length_b 7.0364
_cell_length_c 7.0364
_cell_angle_alpha 90.00
_cell_angle_beta 90.00
_cell_angle_gamma 90.00
_space_group_name_H-M_alt 'P 1'
_space_group_IT_number 1
_space_group_name_Hall 'P 1'
loop_
_atom_site_label
_atom_site_type_symbol
_atom_site_fract_x
_atom_site_fract_y
_atom_site_fract_z
Li1 Li 0.0000 0.0000 0.0000
Li2 Li 0.0000 0.5000 0.5000
Li3 Li 0.5000 0.0000 0.5000
Li4 Li 0.5000 0.5000 0.0000
Th1 Th 0.0000 0.0000 0.5000
Th2 Th 0.0000 0.5000 0.0000
Th3 Th 0.5000 0.0000 0.0000
Th4 Th 0.5000 0.5000 0.5000
Au1 Au 0.2500 0.2500 0.2500
Au2 Au 0.2500 0.2500 0.7500
Au3 Au 0.2500 0.7500 0.2500
Au4 Au 0.2500 0.7500 0.7500
Au5 Au 0.7500 0.2500 0.2500
Au6 Au 0.7500 0.2500 0.7500
Au7 Au 0.7500 0.7500 0.2500
Au8 Au 0.7500 0.7500 0.7500
# Crystal system = cubic
# E_tot = -44.91 eV per atom
# ρ = 12.07 g cm⁻³
# Energy of formation = -0.648 eV/atom



Entry 3:
# LiNi2O4 (r2SCAN, relaxed)
data_LiNi2O4
_chemical_formula_sum 'Li2 Ni4 O8'
_cell_length_a 5.7250
_cell_length_b 5.7250
_cell_length_c 5.7250
_cell_angle_alpha 121.89
_cell_angle_beta 121.64
_cell_angle_gamma 86.97
_space_group_name_H-M_alt 'P 1'
_space_group_IT_number 1
_space_group_name_Hall 'P 1'
loop_
_atom_site_label
_atom_site_type_symbol
_atom_site_fract_x
_atom_site_fract_y
_atom_site_fract_z
Li1 Li 0.3864 0.1364 0.2500
Li2 Li 0.6136 0.8636 0.7500
Ni1 Ni 0.0000 0.0000 0.5000
Ni2 Ni 0.0000 0.5000 0.0000
Ni3 Ni 0.0000 0.5000 0.5000
Ni4 Ni 0.5000 0.5000 0.0000
O1 O 0.1985 0.7248 0.4738
O2 O 0.2483 0.2752 0.5269
O3 O 0.2483 0.7213 0.9731
O4 O 0.2490 0.2752 0.9738
O5 O 0.7510 0.7248 0.0262
O6 O 0.7517 0.2787 0.0269
O7 O 0.7517 0.7248 0.4731
O8 O 0.8015 0.2752 0.5262
# Crystal system = orthorhombic
# E_tot = -8.54 eV per atom
# ρ = 4.85 g cm⁻³
# Energy of formation = -1.366 eV/atom
# Excess energy over the best structure of this formula in the dataset = 0 meV per atom



Entry 4:
# MnGa2S4 (r2SCAN, relaxed)
data_MnGa2S4
_chemical_formula_sum 'Mn2 Ga4 S8'
_cell_length_a 5.4527
_cell_length_b 5.4527
_cell_length_c 10.2873
_cell_angle_alpha 90.00
_cell_angle_beta 90.00
_cell_angle_gamma 90.00
_space_group_name_H-M_alt 'P 1'
_space_group_IT_number 1
_space_group_name_Hall 'P 1'
loop_
_atom_site_label
_atom_site_type_symbol
_atom_site_fract_x
_atom_site_fract_y
_atom_site_fract_z
Mn1 Mn 0.0000 0.0000 0.0000
Mn2 Mn 0.5000 0.5000 0.5000
Ga1 Ga 0.0000 0.0000 0.5000
Ga2 Ga 0.0000 0.5000 0.7500
Ga3 Ga 0.5000 0.0000 0.2500
Ga4 Ga 0.5000 0.5000 0.0000
S1 S 0.2398 0.2397 0.3690
S2 S 0.2397 0.7602 0.6310
S3 S 0.2602 0.2603 0.8690
S4 S 0.2603 0.7398 0.1310
S5 S 0.7397 0.2602 0.1310
S6 S 0.7398 0.7397 0.8690
S7 S 0.7603 0.2398 0.6310
S8 S 0.7602 0.7603 0.3690
# Crystal system = tetragonal
# E_tot = -10.88 eV per atom
# ρ = 3.50 g cm⁻³
# Energy of formation = -0.926 eV/atom



Entry 5:
# TmHfOs2 (r2SCAN, relaxed)
data_TmHfOs2
_chemical_formula_sum 'Tm4 Hf4 Os8'
_cell_length_a 6.5666
_cell_length_b 6.5666
_cell_length_c 6.5666
_cell_angle_alpha 90.00
_cell_angle_beta 90.00
_cell_angle_gamma 90.00
_space_group_name_H-M_alt 'P 1'
_space_group_IT_number 1
_space_group_name_Hall 'P 1'
loop_
_atom_site_label
_atom_site_type_symbol
_atom_site_fract_x
_atom_site_fract_y
_atom_site_fract_z
Tm1 Tm 0.0000 0.0000 0.0000
Tm2 Tm 0.0000 0.5000 0.5000
Tm3 Tm 0.5000 0.0000 0.5000
Tm4 Tm 0.5000 0.5000 0.0000
Hf1 Hf 0.0000 0.0000 0.5000
Hf2 Hf 0.0000 0.5000 0.0000
Hf3 Hf 0.5000 0.0000 0.0000
Hf4 Hf 0.5000 0.5000 0.5000
Os1 Os 0.2500 0.2500 0.2500
Os2 Os 0.2500 0.2500 0.7500
Os3 Os 0.2500 0.7500 0.2500
Os4 Os 0.2500 0.7500 0.7500
Os5 Os 0.7500 0.2500 0.2500
Os6 Os 0.7500 0.2500 0.7500
Os7 Os 0.7500 0.7500 0.2500
Os8 Os 0.7500 0.7500 0.7500
# Crystal system = cubic
# E_tot = -47.11 eV per atom
# ρ = 17.07 g cm⁻³
# Energy of formation = -0.547 eV/atom



Entry 6:
# SmCo2P2 (r2SCAN, relaxed)
data_SmCo2P2
_chemical_formula_sum 'Sm2 Co4 P4'
_cell_length_a 3.8738
_cell_length_b 3.8738
_cell_length_c 9.5129
_cell_angle_alpha 90.00
_cell_angle_beta 90.00
_cell_angle_gamma 90.00
_space_group_name_H-M_alt 'P 1'
_space_group_IT_number 1
_space_group_name_Hall 'P 1'
loop_
_atom_site_label
_atom_site_type_symbol
_atom_site_fract_x
_atom_site_fract_y
_atom_site_fract_z
Sm1 Sm 0.0000 0.0000 0.0000
Sm2 Sm 0.5000 0.5000 0.5000
Co1 Co 0.0000 0.5000 0.2500
Co2 Co 0.0000 0.5000 0.7500
Co3 Co 0.5000 0.0000 0.2500
Co4 Co 0.5000 0.0000 0.7500
P1 P 0.0000 0.0000 0.3668
P2 P 0.0000 0.0000 0.6332
P3 P 0.5000 0.5000 0.1332
P4 P 0.5000 0.5000 0.8668
# Crystal system = tetragonal
# E_tot = -15.86 eV per atom
# ρ = 7.68 g cm⁻³
# Energy of formation = -1.018 eV/atom



Entry 7:
# CoP4O11 (r2SCAN, relaxed)
data_CoP4O11
_chemical_formula_sum 'Co4 P16 O44'
_cell_length_a 5.3122
_cell_length_b 22.3262
_cell_length_c 7.3680
_cell_angle_alpha 90.00
_cell_angle_beta 110.01
_cell_angle_gamma 90.00
_space_group_name_H-M_alt 'P 1'
_space_group_IT_number 1
_space_group_name_Hall 'P 1'
loop_
_atom_site_label
_atom_site_type_symbol
_atom_site_fract_x
_atom_site_fract_y
_atom_site_fract_z
Co1 Co 0.0045 0.1144 0.3694
Co2 Co 0.0045 0.3856 0.8694
Co3 Co 0.9955 0.6144 0.1306
Co4 Co 0.9955 0.8856 0.6306
P1 P 0.3034 0.0721 0.8122
P2 P 0.3034 0.4279 0.3122
P3 P 0.3215 0.6781 0.5541
P4 P 0.3215 0.8219 0.0541
P5 P 0.3956 0.6959 0.9716
P6 P 0.3956 0.8041 0.4716
P7 P 0.4036 0.0352 0.2113
P8 P 0.4036 0.4648 0.7113
P9 P 0.5964 0.5352 0.2887
P10 P 0.5964 0.9648 0.7887
P11 P 0.6044 0.1959 0.5284
P12 P 0.6044 0.3041 0.0284
P13 P 0.6785 0.1781 0.9459
P14 P 0.6785 0.3219 0.4459
P15 P 0.6966 0.5721 0.6878
P16 P 0.6966 0.9279 0.1878
O1 O 0.0658 0.0767 0.6402
O2 O 0.0658 0.4233 0.1402
O3 O 0.0823 0.6554 0.4044
O4 O 0.0823 0.8446 0.9044
O5 O 0.1881 0.6843 0.0576
O6 O 0.1881 0.8157 0.5576
O7 O 0.2209 0.0441 0.3195
O8 O 0.2209 0.4559 0.8195
O9 O 0.2310 0.0453 0.9832
O10 O 0.2310 0.4547 0.4832
O11 O 0.2550 0.6936 0.7386
O12 O 0.2550 0.8064 0.2386
O13 O 0.3390 0.5662 0.2480
O14 O 0.3390 0.9338 0.7480
O15 O 0.3515 0.1629 0.4763
O16 O 0.3515 0.3371 0.9763
O17 O 0.4296 0.1352 0.8838
O18 O 0.4296 0.3648 0.3838
O19 O 0.4518 0.5366 0.7057
O20 O 0.4518 0.9634 0.2057
O21 O 0.4636 0.7333 0.5006
O22 O 0.4636 0.7667 0.0006
O23 O 0.5364 0.2333 0.9994
O24 O 0.5364 0.2667 0.4994
O25 O 0.5482 0.0366 0.7943
O26 O 0.5482 0.4634 0.2943
O27 O 0.5704 0.6352 0.6162
O28 O 0.5704 0.8648 0.1162
O29 O 0.6485 0.6629 0.0237
O30 O 0.6485 0.8371 0.5237
O31 O 0.6610 0.0662 0.2520
O32 O 0.6610 0.4338 0.7520
O33 O 0.7450 0.1936 0.7614
O34 O 0.7450 0.3064 0.2614
O35 O 0.7690 0.5453 0.5168
O36 O 0.7690 0.9547 0.0168
O37 O 0.7791 0.5441 0.1805
O38 O 0.7791 0.9559 0.6805
O39 O 0.8119 0.1843 0.4424
O40 O 0.8119 0.3157 0.9424
O41 O 0.9177 0.1554 0.0956
O42 O 0.9177 0.3446 0.5956
O43 O 0.9342 0.5767 0.8598
O44 O 0.9342 0.9233 0.3598
# Crystal system = monoclinic
# E_tot = -9.33 eV per atom
# ρ = 2.90 g cm⁻³
# Energy of formation = -2.147 eV/atom



Entry 8:
# La3CBr5 (r2SCAN, relaxed)
data_La3CBr5
_chemical_formula_sum 'La12 C4 Br20'
_cell_length_a 9.0112
_cell_length_b 9.0112
_cell_length_c 14.6391
_cell_angle_alpha 103.25
_cell_angle_beta 103.25
_cell_angle_gamma 74.90
_space_group_name_H-M_alt 'P 1'
_space_group_IT_number 1
_space_group_name_Hall 'P 1'
loop_
_atom_site_label
_atom_site_type_symbol
_atom_site_fract_x
_atom_site_fract_y
_atom_site_fract_z
La1 La 0.1195 0.1608 0.4057
La2 La 0.1608 0.1195 0.9057
La3 La 0.1800 0.5149 0.0872
La4 La 0.2124 0.4897 0.8255
La5 La 0.4851 0.8200 0.4128
La6 La 0.4897 0.2124 0.3255
La7 La 0.5103 0.7876 0.6745
La8 La 0.5149 0.1800 0.5872
La9 La 0.7876 0.5103 0.1745
La10 La 0.8200 0.4851 0.9128
La11 La 0.8392 0.8805 0.0943
La12 La 0.8805 0.8392 0.5943
C1 C 0.1048 0.3881 0.9206
C2 C 0.3881 0.1048 0.4206
C3 C 0.6119 0.8952 0.5794
C4 C 0.8952 0.6119 0.0794
Br1 Br 0.1183 0.8000 0.9811
Br2 Br 0.1369 0.3825 0.2723
Br3 Br 0.1418 0.8582 0.2500
Br4 Br 0.1632 0.3789 0.5929
Br5 Br 0.1966 0.8034 0.7500
Br6 Br 0.2000 0.8817 0.5189
Br7 Br 0.3789 0.1632 0.0929
Br8 Br 0.3825 0.1369 0.7723
Br9 Br 0.4774 0.5226 0.2500
Br10 Br 0.5000 0.5000 0.0000
Br11 Br 0.5000 0.5000 0.5000
Br12 Br 0.5226 0.4774 0.7500
Br13 Br 0.6175 0.8631 0.2277
Br14 Br 0.6211 0.8368 0.9071
Br15 Br 0.8000 0.1183 0.4811
Br16 Br 0.8034 0.1966 0.2500
Br17 Br 0.8368 0.6211 0.4071
Br18 Br 0.8582 0.1418 0.7500
Br19 Br 0.8631 0.6175 0.7277
Br20 Br 0.8817 0.2000 0.0189
# Crystal system = monoclinic
# E_tot = -20.31 eV per atom
# ρ = 5.01 g cm⁻³
# Energy of formation = -1.926 eV/atom



Entry 9:
# SmB3O6 (r2SCAN, relaxed)
data_SmB3O6
_chemical_formula_sum 'Sm2 B6 O12'
_cell_length_a 6.3087
_cell_length_b 6.3087
_cell_length_c 6.2714
_cell_angle_alpha 117.06
_cell_angle_beta 117.06
_cell_angle_gamma 79.35
_space_group_name_H-M_alt 'P 1'
_space_group_IT_number 1
_space_group_name_Hall 'P 1'
loop_
_atom_site_label
_atom_site_type_symbol
_atom_site_fract_x
_atom_site_fract_y
_atom_site_fract_z
Sm1 Sm 0.1996 0.8004 0.7500
Sm2 Sm 0.8004 0.1996 0.2500
B1 B 0.2101 0.3401 0.9130
B2 B 0.2205 0.7795 0.2500
B3 B 0.3401 0.2101 0.4130
B4 B 0.6599 0.7899 0.5870
B5 B 0.7795 0.2205 0.7500
B6 B 0.7899 0.6599 0.0870
O1 O 0.0052 0.7844 0.2908
O2 O 0.2086 0.3910 0.4957
O3 O 0.2114 0.5854 0.0054
O4 O 0.2156 0.9948 0.2092
O5 O 0.3910 0.2086 0.9957
O6 O 0.4146 0.7886 0.4946
O7 O 0.5854 0.2114 0.5054
O8 O 0.6090 0.7914 0.0043
O9 O 0.7844 0.0052 0.7908
O10 O 0.7886 0.4146 0.9946
O11 O 0.7914 0.6090 0.5043
O12 O 0.9948 0.2156 0.7092
# Crystal system = monoclinic
# E_tot = -11.74 eV per atom
# ρ = 4.68 g cm⁻³
# Energy of formation = -2.983 eV/atom



Entry 10:
# LiLu2Rh (r2SCAN, relaxed)
data_LiLu2Rh
_chemical_formula_sum 'Li4 Lu8 Rh4'
_cell_length_a 6.7804
_cell_length_b 6.7804
_cell_length_c 6.7804
_cell_angle_alpha 90.00
_cell_angle_beta 90.00
_cell_angle_gamma 90.00
_space_group_name_H-M_alt 'P 1'
_space_group_IT_number 1
_space_group_name_Hall 'P 1'
loop_
_atom_site_label
_atom_site_type_symbol
_atom_site_fract_x
_atom_site_fract_y
_atom_site_fract_z
Li1 Li 0.0000 0.0000 0.0000
Li2 Li 0.0000 0.5000 0.5000
Li3 Li 0.5000 0.0000 0.5000
Li4 Li 0.5000 0.5000 0.0000
Lu1 Lu 0.2500 0.2500 0.2500
Lu2 Lu 0.2500 0.2500 0.7500
Lu3 Lu 0.2500 0.7500 0.2500
Lu4 Lu 0.2500 0.7500 0.7500
Lu5 Lu 0.7500 0.2500 0.2500
Lu6 Lu 0.7500 0.2500 0.7500
Lu7 Lu 0.7500 0.7500 0.2500
Lu8 Lu 0.7500 0.7500 0.7500
Rh1 Rh 0.0000 0.0000 0.5000
Rh2 Rh 0.0000 0.5000 0.0000
Rh3 Rh 0.5000 0.0000 0.0000
Rh4 Rh 0.5000 0.5000 0.5000
# Crystal system = cubic
# E_tot = -26.27 eV per atom
# ρ = 9.80 g cm⁻³
# Energy of formation = -0.598 eV/atom



Entry 11:
# YbBi2ClO4 (r2SCAN, relaxed)
data_YbBi2ClO4
_chemical_formula_sum 'Yb1 Bi2 Cl1 O4'
_cell_length_a 3.8247
_cell_length_b 3.8247
_cell_length_c 8.9185
_cell_angle_alpha 90.00
_cell_angle_beta 90.00
_cell_angle_gamma 90.00
_space_group_name_H-M_alt 'P 1'
_space_group_IT_number 1
_space_group_name_Hall 'P 1'
loop_
_atom_site_label
_atom_site_type_symbol
_atom_site_fract_x
_atom_site_fract_y
_atom_site_fract_z
Yb1 Yb 0.0000 0.0000 0.0000
Bi1 Bi 0.5000 0.5000 0.2764
Bi2 Bi 0.5000 0.5000 0.7236
Cl1 Cl 0.0000 0.0000 0.5000
O1 O 0.0000 0.5000 0.1496
O2 O 0.0000 0.5000 0.8504
O3 O 0.5000 0.0000 0.1496
O4 O 0.5000 0.0000 0.8504
# Crystal system = tetragonal
# E_tot = -25.22 eV per atom
# ρ = 8.79 g cm⁻³
# Energy of formation = -2.272 eV/atom



Entry 12:
# Zr3Ti2Si3 (r2SCAN, relaxed)
data_Zr3Ti2Si3
_chemical_formula_sum 'Zr6 Ti4 Si6'
_cell_length_a 7.7943
_cell_length_b 7.7943
_cell_length_c 5.3279
_cell_angle_alpha 90.00
_cell_angle_beta 90.00
_cell_angle_gamma 120.00
_space_group_name_H-M_alt 'P 1'
_space_group_IT_number 1
_space_group_name_Hall 'P 1'
loop_
_atom_site_label
_atom_site_type_symbol
_atom_site_fract_x
_atom_site_fract_y
_atom_site_fract_z
Zr1 Zr 0.0000 0.2524 0.2500
Zr2 Zr 0.0000 0.7476 0.7500
Zr3 Zr 0.2524 0.0000 0.2500
Zr4 Zr 0.2524 0.2524 0.7500
Zr5 Zr 0.7476 0.0000 0.7500
Zr6 Zr 0.7476 0.7476 0.2500
Ti1 Ti 0.3333 0.6667 0.0000
Ti2 Ti 0.3333 0.6667 0.5000
Ti3 Ti 0.6667 0.3333 0.0000
Ti4 Ti 0.6667 0.3333 0.5000
Si1 Si 0.0000 0.3978 0.7500
Si2 Si 0.0000 0.6022 0.2500
Si3 Si 0.3978 0.0000 0.7500
Si4 Si 0.3978 0.3978 0.2500
Si5 Si 0.6022 0.0000 0.2500
Si6 Si 0.6022 0.6022 0.7500
# Crystal system = hexagonal
# E_tot = -15.95 eV per atom
# ρ = 5.37 g cm⁻³
# Energy of formation = -0.891 eV/atom



What did the eleventh record say?
# YbBi2ClO4 (r2SCAN, relaxed)
data_YbBi2ClO4
_chemical_formula_sum 'Yb1 Bi2 Cl1 O4'
_cell_length_a 3.8247
_cell_length_b 3.8247
_cell_length_c 8.9185
_cell_angle_alpha 90.00
_cell_angle_beta 90.00
_cell_angle_gamma 90.00
_space_group_name_H-M_alt 'P 1'
_space_group_IT_number 1
_space_group_name_Hall 'P 1'
loop_
_atom_site_label
_atom_site_type_symbol
_atom_site_fract_x
_atom_site_fract_y
_atom_site_fract_z
Yb1 Yb 0.0000 0.0000 0.0000
Bi1 Bi 0.5000 0.5000 0.2764
Bi2 Bi 0.5000 0.5000 0.7236
Cl1 Cl 0.0000 0.0000 0.5000
O1 O 0.0000 0.5000 0.1496
O2 O 0.0000 0.5000 0.8504
O3 O 0.5000 0.0000 0.1496
O4 O 0.5000 0.0000 0.8504
# Crystal system = tetragonal
# E_tot = -25.22 eV per atom
# ρ = 8.79 g cm⁻³
# Energy of formation = -2.272 eV/atom